i:
{"formula": "Li2Fe2P4H3O16", "functional": "PBE+U", "state": "relaxed", "cell": [[4.9863, 0.0000, 0.0000], [1.7896, 7.1935, 0.0000], [0.3042, -0.0279, 8.2633]], "species": ["Li", "Li", "Fe", "Fe", "P", "P", "P", "P", "H", "H", "H", "O", "O", "O", "O", "O", "O", "O", "O", "O", "O", "O", "O", "O", "O", "O", "O"], "fractional_positions": [[0.0000, 0.0000, 0.0000], [0.2982, 0.6560, 0.3160], [0.1511, 0.8300, 0.6589], [0.6571, 0.3320, 0.1564], [0.0497, 0.5977, 0.0028], [0.2565, 0.0746, 0.3140], [0.5258, 0.0925, 0.8161], [0.7759, 0.5702, 0.5009], [0.3298, 0.3901, 0.7569], [0.6069, 0.8540, 0.1765], [0.9781, 0.2770, 0.5657], [0.0069, 0.6778, 0.4848], [0.0093, 0.1379, 0.2017], [0.1520, 0.0407, 0.4858], [0.1573, 0.6204, 0.8268], [0.2974, 0.9827, 0.8319], [0.3055, 0.5226, 0.1097], [0.4163, 0.2670, 0.7060], [0.4241, 0.8793, 0.2442], [0.4316, 0.2174, 0.3138], [0.5185, 0.6933, 0.5835], [0.5998, 0.1543, 0.9828], [0.7055, 0.5062, 0.3343], [0.7832, 0.9720, 0.7305], [0.8757, 0.3974, 0.6143], [0.8850, 0.7820, 0.0752], [0.8867, 0.4443, 0.0021]], "sg": "P1, No. 1", "m_tot_mub_per_cell": 11.0, "density_g_cm3": 2.849}

ii:
{"formula": "Li2Fe2P4H3O16", "functional": "PBE+U", "state": "relaxed", "cell": [[4.9443, 0.0000, 0.0000], [-1.7908, 7.3523, 0.0000], [-0.1624, -0.1053, 8.1553]], "species": ["Li", "Li", "Fe", "Fe", "P", "P", "P", "P", "H", "H", "H", "O", "O", "O", "O", "O", "O", "O", "O", "O", "O", "O", "O", "O", "O", "O", "O"], "fractional_positions": [[0.0000, 0.0000, 0.0000], [0.2100, 0.3064, 0.7450], [0.1093, 0.1522, 0.3729], [0.6136, 0.6536, 0.8713], [0.2362, 0.9104, 0.7126], [0.4961, 0.9037, 0.2078], [0.7218, 0.4049, 0.5350], [0.9840, 0.3893, 0.0270], [0.0638, 0.6329, 0.4761], [0.1613, 0.6679, 0.2525], [0.5680, 0.1320, 0.8570], [0.0609, 0.3401, 0.2021], [0.1582, 0.9690, 0.5434], [0.2453, 0.4885, 0.9313], [0.2745, 0.0164, 0.1873], [0.3515, 0.7182, 0.2947], [0.3645, 0.0942, 0.8147], [0.4367, 0.7854, 0.7029], [0.4762, 0.3116, 0.4267], [0.6003, 0.8536, 0.0397], [0.6157, 0.4534, 0.7030], [0.7412, 0.9965, 0.3164], [0.7904, 0.5213, 0.0386], [0.8633, 0.2121, 0.9274], [0.8646, 0.5905, 0.4489], [0.9437, 0.2921, 0.5551], [0.9802, 0.8221, 0.8148]], "sg": "P1, No. 1", "m_tot_mub_per_cell": 10.3, "density_g_cm3": 2.848}

In eV/atom, relative to the most stable structure: i 0.000; ii 0.016.

i:
{"formula": "LiCo2OF3", "functional": "PBE+U", "state": "relaxed", "cell": [[3.0135, 1.7399, 5.0558], [-3.0135, 1.7399, 5.0558], [0.0000, -3.4797, 5.0558]], "species": ["Li", "Li", "Co", "Co", "Co", "Co", "O", "O", "F", "F", "F", "F", "F", "F"], "fractional_positions": [[0.0000, 0.0000, 0.0000], [0.3596, 0.3596, 0.3596], [0.0026, 0.0026, 0.4888], [0.0026, 0.4888, 0.0026], [0.4888, 0.0026, 0.0026], [0.6455, 0.6455, 0.6455], [0.2305, 0.2305, 0.2305], [0.7705, 0.7705, 0.7705], [0.2355, 0.2355, 0.7583], [0.2355, 0.7583, 0.2355], [0.2420, 0.7578, 0.7578], [0.7583, 0.2355, 0.2355], [0.7578, 0.2420, 0.7578], [0.7578, 0.7578, 0.2420]], "sg": "R3m, No. 160", "m_tot_mub_per_cell": 12.0, "density_g_cm3": 4.130}

ii:
{"formula": "LiCo2OF3", "functional": "PBE+U", "state": "relaxed", "cell": [[6.1149, 0.0000, 0.0000], [0.0983, 6.1571, 0.0000], [0.0125, 0.0212, 8.5105]], "species": ["Li", "Li", "Li", "Li", "Co", "Co", "Co", "Co", "Co", "Co", "Co", "Co", "O", "O", "O", "O", "F", "F", "F", "F", "F", "F", "F", "F", "F", "F", "F", "F"], "fractional_positions": [[0.0000, 0.0000, 0.0000], [0.0129, 0.5113, 0.4920], [0.2510, 0.2464, 0.7422], [0.7599, 0.2388, 0.2516], [0.2534, 0.7504, 0.7310], [0.2553, 0.4857, 0.1184], [0.2841, 0.9857, 0.3747], [0.5114, 0.5186, 0.4983], [0.5248, 0.9914, 0.0089], [0.7546, 0.7675, 0.2507], [0.7626, 0.9781, 0.6030], [0.7669, 0.5230, 0.8886], [0.2642, 0.7295, 0.5071], [0.5307, 0.0153, 0.2377], [0.7574, 0.7236, 0.4821], [0.7677, 0.7747, 0.0110], [0.0084, 0.0140, 0.2433], [0.0239, 0.0043, 0.7495], [0.0299, 0.4939, 0.7468], [0.2568, 0.7521, 0.9811], [0.2632, 0.2271, 0.9826], [0.2713, 0.2669, 0.5099], [0.4935, 0.4903, 0.7561], [0.4956, 0.9996, 0.7560], [0.5230, 0.4932, 0.2412], [0.7564, 0.2663, 0.4955], [0.7751, 0.2424, 0.0010], [0.9963, 0.4879, 0.2497]], "sg": "P1, No. 1", "m_tot_mub_per_cell": 24.0, "density_g_cm3": 4.100}

In eV/atom, relative to the most stable structure: i 0.000; ii 0.044.

i:
{"formula": "MgCr2O4", "functional": "PBE+U", "state": "relaxed", "cell": [[0.0000, 4.2377, 4.2377], [4.2377, 0.0000, 4.2377], [4.2377, 4.2377, 0.0000]], "species": ["Mg", "Mg", "Cr", "Cr", "Cr", "Cr", "O", "O", "O", "O", "O", "O", "O", "O"], "fractional_positions": [[0.1250, 0.1250, 0.1250], [0.8750, 0.8750, 0.8750], [0.0000, 0.5000, 0.5000], [0.5000, 0.0000, 0.5000], [0.5000, 0.5000, 0.0000], [0.5000, 0.5000, 0.5000], [0.2607, 0.2607, 0.2607], [0.2607, 0.2607, 0.7179], [0.2607, 0.7179, 0.2607], [0.2821, 0.7393, 0.7393], [0.7179, 0.2607, 0.2607], [0.7393, 0.2821, 0.7393], [0.7393, 0.7393, 0.2821], [0.7393, 0.7393, 0.7393]], "sg": "Fd-3m, No. 227", "density_g_cm3": 4.196}

ii:
{"formula": "MgCr2O4", "functional": "PBE+U", "state": "relaxed", "cell": [[3.0119, 0.0000, 0.0000], [0.0000, 6.4356, 0.0000], [0.0000, 0.0000, 8.2583]], "species": ["Mg", "Mg", "Cr", "Cr", "Cr", "Cr", "O", "O", "O", "O", "O", "O", "O", "O"], "fractional_positions": [[0.0000, 0.0000, 0.0000], [0.0000, 0.5000, 0.5000], [0.0000, 0.0000, 0.6763], [0.0000, 0.5000, 0.1763], [0.5000, 0.0000, 0.2859], [0.5000, 0.5000, 0.7859], [0.0000, 0.1864, 0.2016], [0.0000, 0.3136, 0.7016], [0.0000, 0.6864, 0.7016], [0.0000, 0.8136, 0.2016], [0.5000, 0.0000, 0.5176], [0.5000, 0.0000, 0.8523], [0.5000, 0.5000, 0.0176], [0.5000, 0.5000, 0.3523]], "sg": "Amm2, No. 38", "m_tot_mub_per_cell": 12.0, "density_g_cm3": 3.989}

In eV/atom, relative to the most stable structure: i 0.000; ii 0.419.

i:
{"formula": "Li3VO3F", "functional": "PBE+U", "state": "relaxed", "cell": [[-1.7846, 0.0611, 4.8480], [8.4517, 0.2286, 4.7833], [0.0973, 5.8475, 0.1102]], "species": ["Li", "Li", "Li", "Li", "Li", "Li", "Li", "Li", "Li", "Li", "Li", "Li", "V", "V", "V", "V", "O", "O", "O", "O", "O", "O", "O", "O", "O", "O", "O", "O", "F", "F", "F", "F"], "fractional_positions": [[0.3834, 0.1208, 0.1266], [0.8834, 0.6208, 0.1266], [0.1166, 0.3792, 0.8734], [0.6166, 0.8792, 0.8734], [0.3753, 0.1338, 0.6309], [0.8752, 0.6338, 0.6309], [0.1248, 0.3661, 0.3691], [0.6247, 0.8662, 0.3691], [0.8680, 0.1286, 0.3760], [0.3680, 0.6287, 0.3760], [0.6320, 0.3713, 0.6240], [0.1320, 0.8714, 0.6240], [0.3893, 0.6351, 0.8807], [0.6107, 0.3649, 0.1193], [0.8893, 0.1351, 0.8807], [0.1107, 0.8649, 0.1193], [0.7271, 0.4998, 0.8979], [0.2271, 0.9998, 0.8979], [0.7729, 0.0002, 0.1021], [0.2729, 0.5002, 0.1021], [0.5259, 0.2475, 0.8861], [0.0258, 0.7475, 0.8861], [0.9742, 0.2525, 0.1139], [0.4741, 0.7525, 0.1139], [0.5028, 0.2649, 0.3598], [0.0028, 0.7649, 0.3599], [0.9973, 0.2351, 0.6401], [0.4972, 0.7351, 0.6402], [0.7447, 0.0060, 0.6282], [0.2447, 0.5060, 0.6282], [0.7553, 0.4940, 0.3718], [0.2553, 0.9940, 0.3718]], "m_tot_mub_per_cell": 0.0, "density_g_cm3": 3.186}

ii:
{"formula": "Li3VO3F", "functional": "PBE+U", "state": "relaxed", "cell": [[7.2015, 0.0000, 0.0000], [-2.4010, 6.8017, 0.0000], [-2.3482, -3.4312, 5.9144]], "species": ["Li", "Li", "Li", "Li", "Li", "Li", "Li", "Li", "Li", "Li", "Li", "Li", "V", "V", "V", "V", "O", "O", "O", "O", "O", "O", "O", "O", "O", "O", "O", "O", "F", "F", "F", "F"], "fractional_positions": [[0.0000, 0.0000, 0.0000], [0.0020, 0.2371, 0.7534], [0.2107, 0.2088, 0.5194], [0.2309, 0.9819, 0.7627], [0.4694, 0.2330, 0.2641], [0.4888, 0.7170, 0.7631], [0.5211, 0.5056, 0.9899], [0.7227, 0.7029, 0.5295], [0.7392, 0.4991, 0.7534], [0.7468, 0.2526, 0.0075], [0.7528, 0.9938, 0.2569], [0.9915, 0.4947, 0.5112], [0.2242, 0.7439, 0.0000], [0.2300, 0.4617, 0.2591], [0.4487, 0.9668, 0.5183], [0.9660, 0.7411, 0.2596], [0.0062, 0.4965, 0.0133], [0.0236, 0.7538, 0.7456], [0.2280, 0.2060, 0.0230], [0.2694, 0.7560, 0.5062], [0.4253, 0.9311, 0.0353], [0.4789, 0.2090, 0.7727], [0.5278, 0.4971, 0.4937], [0.6923, 0.7217, 0.0279], [0.7386, 0.4817, 0.2610], [0.7652, 0.2593, 0.4813], [0.9843, 0.2537, 0.2574], [0.9897, 0.0093, 0.4969], [0.2238, 0.4829, 0.7633], [0.2387, 0.9813, 0.2565], [0.4661, 0.7274, 0.2631], [0.7375, 0.9945, 0.7572]], "sg": "P1, No. 1", "m_tot_mub_per_cell": 4.0, "density_g_cm3": 3.181}

In eV/atom, relative to the most stable structure: i 0.000; ii 0.502.

i:
{"formula": "TiMn2O4", "functional": "PBE+U", "state": "relaxed", "cell": [[6.0662, 0.0000, 0.0000], [3.0185, 5.3902, 0.0000], [3.0143, -1.2047, 25.1988]], "species": ["Ti", "Ti", "Ti", "Ti", "Ti", "Ti", "Ti", "Ti", "Ti", "Ti", "Mn", "Mn", "Mn", "Mn", "Mn", "Mn", "Mn", "Mn", "Mn", "Mn", "Mn", "Mn", "Mn", "Mn", "Mn", "Mn", "Mn", "Mn", "Mn", "Mn", "O", "O", "O", "O", "O", "O", "O", "O", "O", "O", "O", "O", "O", "O", "O", "O", "O", "O", "O", "O", "O", "O", "O", "O", "O", "O", "O", "O", "O", "O", "O", "O", "O", "O", "O", "O", "O", "O", "O", "O"], "fractional_positions": [[0.0000, 0.0000, 0.0000], [0.0561, 0.4764, 0.9214], [0.1137, 0.1949, 0.5960], [0.2137, 0.3934, 0.1965], [0.3182, 0.5970, 0.7953], [0.4138, 0.7943, 0.3960], [0.6138, 0.1949, 0.5960], [0.7130, 0.3953, 0.1961], [0.8073, 0.5973, 0.7955], [0.9138, 0.7946, 0.3960], [0.0139, 0.9945, 0.4960], [0.1139, 0.6947, 0.5959], [0.1712, 0.9064, 0.2693], [0.2130, 0.3959, 0.6962], [0.2557, 0.8804, 0.1201], [0.3134, 0.0968, 0.7964], [0.3714, 0.3072, 0.4693], [0.4083, 0.7994, 0.8964], [0.4566, 0.2811, 0.3227], [0.5124, 0.9998, 0.9955], [0.5135, 0.4928, 0.9954], [0.5714, 0.7084, 0.6683], [0.6102, 0.1966, 0.0966], [0.6569, 0.6811, 0.5226], [0.7129, 0.8949, 0.1960], [0.7708, 0.1112, 0.8698], [0.8134, 0.5946, 0.2961], [0.8580, 0.0789, 0.7232], [0.9142, 0.2942, 0.3959], [0.9760, 0.5101, 0.0713], [0.0077, 0.2811, 0.7526], [0.0098, 0.2557, 0.2395], [0.0183, 0.7067, 0.2413], [0.0184, 0.7282, 0.7525], [0.0766, 0.4804, 0.3508], [0.1052, 0.4614, 0.8454], [0.1224, 0.9223, 0.3513], [0.1493, 0.9084, 0.8392], [0.2027, 0.6546, 0.9463], [0.2036, 0.1490, 0.9449], [0.2105, 0.6572, 0.4394], [0.2191, 0.1078, 0.4407], [0.2774, 0.8801, 0.5512], [0.3034, 0.8499, 0.0369], [0.3228, 0.3220, 0.5512], [0.3502, 0.3256, 0.0462], [0.4074, 0.0800, 0.1505], [0.4095, 0.0593, 0.6397], [0.4157, 0.5332, 0.1533], [0.4193, 0.5089, 0.6403], [0.4771, 0.2806, 0.7523], [0.5055, 0.2641, 0.2407], [0.5222, 0.7243, 0.7505], [0.5511, 0.7068, 0.2416], [0.6067, 0.4629, 0.8400], [0.6095, 0.4802, 0.3510], [0.6177, 0.9306, 0.3524], [0.6217, 0.9090, 0.8400], [0.7059, 0.6657, 0.4406], [0.7125, 0.6432, 0.9450], [0.7392, 0.1305, 0.9504], [0.7511, 0.1078, 0.4407], [0.8093, 0.8802, 0.5513], [0.8182, 0.3302, 0.5523], [0.8302, 0.3046, 0.0426], [0.8307, 0.8560, 0.0422], [0.8736, 0.0823, 0.1500], [0.9053, 0.0667, 0.6410], [0.9198, 0.5236, 0.1527], [0.9503, 0.5089, 0.6404]], "sg": "P1, No. 1", "m_tot_mub_per_cell": 100.0, "density_g_cm3": 4.469}

ii:
{"formula": "TiMn2O4", "functional": "PBE+U", "state": "relaxed", "cell": [[6.2329, 0.0000, 0.0000], [0.0000, 6.2329, 0.0000], [0.0000, 0.0000, 8.7094]], "species": ["Ti", "Ti", "Ti", "Ti", "Mn", "Mn", "Mn", "Mn", "Mn", "Mn", "Mn", "Mn", "O", "O", "O", "O", "O", "O", "O", "O", "O", "O", "O", "O", "O", "O", "O", "O"], "fractional_positions": [[0.0000, 0.2554, 0.0000], [0.0000, 0.7446, 0.5000], [0.2554, 0.0000, 0.2500], [0.7446, 0.0000, 0.7500], [0.2446, 0.5000, 0.2500], [0.2481, 0.2481, 0.6250], [0.2481, 0.7519, 0.8750], [0.5000, 0.2446, 0.0000], [0.5000, 0.7554, 0.5000], [0.7519, 0.2481, 0.3750], [0.7519, 0.7519, 0.1250], [0.7554, 0.5000, 0.7500], [0.0139, 0.2294, 0.2278], [0.0139, 0.7706, 0.2722], [0.2282, 0.4636, 0.9963], [0.2282, 0.5364, 0.5037], [0.2294, 0.0139, 0.0222], [0.2294, 0.9861, 0.4778], [0.4636, 0.2282, 0.2537], [0.4636, 0.7718, 0.2463], [0.5364, 0.2282, 0.7463], [0.5364, 0.7718, 0.7537], [0.7706, 0.0139, 0.9778], [0.7706, 0.9861, 0.5222], [0.7718, 0.4636, 0.0037], [0.7718, 0.5364, 0.4963], [0.9861, 0.2294, 0.7722], [0.9861, 0.7706, 0.7278]], "sg": "P4_322, No. 95", "density_g_cm3": 4.353}

In eV/atom, relative to the most stable structure: i 0.057; ii 0.000.